Compound: Sr6Bi2O11
Source: Materials Project
Functional: PBE-GGA
Structure: optimized geometry

Symmetry ... P4/nmm
E_form ... -2.462 eV/atom
Energy ... -5.871 eV per atom
Distance to the lowest polymorph of the same formula ... 0.0 meV per atom

Lattice parameters (Å, degrees): 8.7445 8.7445 9.1300 90.00 90.00 90.00
Atoms (fractional coordinates):
Sr1 0.2774 0.7774 0.7925
Sr2 0.2774 0.2226 0.7925
Sr3 0.2226 0.2774 0.2075
Sr4 0.2226 0.7226 0.2075
Sr5 0.5000 0.5000 0.5000
Sr6 0.7226 0.2226 0.7925
Sr7 0.5000 0.0000 0.0690
Sr8 0.7226 0.7774 0.7925
Sr9 0.7774 0.7226 0.2075
Sr10 0.7774 0.2774 0.2075
Sr11 0.0000 0.0000 0.5000
Sr12 0.0000 0.5000 0.9310
Bi1 0.0000 0.0000 0.0000
Bi2 0.5000 0.0000 0.5406
Bi3 0.5000 0.5000 0.0000
Bi4 0.0000 0.5000 0.4594
O1 0.2536 0.5000 0.0161
O2 0.5000 0.7464 0.9839
O3 0.2702 0.0000 0.6141
O4 0.2298 0.5000 0.3859
O5 0.5000 0.2298 0.6141
O6 0.0000 0.7536 0.0161
O7 0.7536 0.0000 0.9839
O8 0.5000 0.5000 0.2290
O9 0.5000 0.5000 0.7710
O10 0.2464 0.0000 0.9839
O11 0.0000 0.2464 0.0161
O12 0.5000 0.7702 0.6141
O13 0.7702 0.5000 0.3859
O14 0.5000 0.0000 0.3173
O15 0.0000 0.5000 0.6827
O16 0.7298 0.0000 0.6141
O17 0.0000 0.7298 0.3859
O18 0.5000 0.2536 0.9839
O19 0.0000 0.0000 0.2290
O20 0.0000 0.0000 0.7710
O21 0.7464 0.5000 0.0161
O22 0.0000 0.2702 0.3859